The following is a DFT calculation (r²SCAN) of a relaxed NdGeRh crystal.

Calculated values
space-group type: Pnma, No. 62

```
NdGeRh
1.0
-3.8453 1.3583 1.8745
-2.9255 -6.5946 -1.2227
2.3630 -2.2492 6.4772
Nd Rh Ge
4 4 4
direct
0.7500 0.0178 0.8166
0.2500 0.9822 0.1834
0.2500 0.4822 0.3166
0.7500 0.5178 0.6834
0.2500 0.1448 0.5714
0.7500 0.8552 0.4286
0.2500 0.6448 0.9286
0.7500 0.3552 0.0714
0.2500 0.8021 0.6066
0.2500 0.3021 0.8934
0.7500 0.6979 0.1066
0.7500 0.1979 0.3934
```

The following is a DFT calculation (r²SCAN) of a relaxed Nd2Ge5Rh3 crystal.

Calculated values
space-group type: Ibam, No. 72

```
Nd2Ge5Rh3
1.0
-3.0254 5.0483 6.0078
3.0260 -5.0479 6.0077
3.0253 5.0478 -6.0074
Ge Rh Nd
10 6 4
direct
0.2593 0.6002 0.6589
0.7768 0.0267 0.2499
0.2232 0.9733 0.7501
0.9412 0.1003 0.8411
0.7768 0.5267 0.7500
0.0588 0.8997 0.1589
0.2232 0.4733 0.2500
0.7407 0.3998 0.3411
0.5000 0.7499 0.2499
0.5000 0.2501 0.7501
0.4663 0.3594 0.1070
0.0000 0.2501 0.2501
0.7476 0.1405 0.6068
0.2524 0.8595 0.3932
0.0000 0.7499 0.7499
0.5337 0.6406 0.8930
0.5981 0.8676 0.7309
0.1367 0.3674 0.7692
0.8633 0.6326 0.2308
0.4019 0.1324 0.2691
```

The following is a DFT calculation (r²SCAN) of a relaxed NdGe2Rh crystal.

Calculated values
space-group type: Cmcm, No. 63

```
NdGe2Rh
1.0
2.1672 -8.5323 0.0000
2.1672 8.5323 0.0000
0.0000 0.0000 4.3340
Nd Rh Ge
2 2 4
direct
0.8913 0.1087 0.2500
0.1087 0.8913 0.7500
0.3196 0.6804 0.7500
0.6804 0.3196 0.2500
0.4594 0.5406 0.7500
0.2505 0.7495 0.2500
0.5406 0.4594 0.2500
0.7495 0.2505 0.7500
```

no.,total energy (eV/atom)
1,-23.44
2,-20.94
3,-21.23